Run A
An optimized crystal structure of NaLaMgTeO6, computed with PBE-GGA.

a = 5.6015 Å, b = 5.6015 Å, c = 5.6190 Å
α = 59.82°, β = 59.82°, γ = 59.93°
Last column: nearest neighbours and their distance in Å.
Positions (direct):
La  0.2510  0.2510  0.2380  5 O 2.41-2.52
Te  0.5009  0.5009  0.4990  6 O 1.94-1.96
Mg  0.9992  0.9992  0.9990  6 O 2.07-2.12
O  0.2954  0.7886  0.2214  1 Te 1.94, 1 Mg 2.08
O  0.6963  0.2163  0.7861  1 Te 1.94, 1 Mg 2.07
O  0.2608  0.2608  0.6561  1 Te 1.96, 1 Mg 2.12
O  0.7398  0.7398  0.3367  1 Te 1.94, 1 Mg 2.10
O  0.2163  0.6963  0.7861  1 Te 1.94, 1 Mg 2.07
O  0.7886  0.2954  0.2214  1 Te 1.94, 1 Mg 2.08
Na  0.7517  0.7517  0.7563  5 O 2.43-2.59

total magnetization = 0.000 μB/atom
symmetry = Cm

Run B
An optimized crystal structure of NaLaMgTeO6, computed with PBE-GGA.

a = 5.5999 Å, b = 5.6256 Å, c = 7.9461 Å
α = 89.74°, β = 90.00°, γ = 90.00°
Last column: nearest neighbours and their distance in Å.
Positions (direct):
Mg  0.2500  0.2519  0.2686  6 O 2.01-2.22
O  0.9912  0.5041  0.1968  1 Te 1.97, 1 Mg 2.11
O  0.4961  0.0168  0.7324  1 Te 1.93, 1 Mg 2.08
La  0.7500  0.2454  0.9982  5 O 2.44-2.54
Te  0.7500  0.7444  0.2558  6 O 1.88-2.02
O  0.0039  0.0168  0.7324  1 Te 1.93, 1 Mg 2.08
O  0.7500  0.6648  0.4862  1 Te 1.88, 1 Mg 2.01
O  0.2500  0.3352  0.5138  1 Te 1.88, 1 Mg 2.01
Te  0.2500  0.2556  0.7442  6 O 1.88-2.02
Na  0.7500  0.2346  0.5008  5 O 2.42-2.71
O  0.0088  0.4959  0.8032  1 Te 1.97, 1 Mg 2.11
O  0.5039  0.9832  0.2676  1 Te 1.93, 1 Mg 2.08
Mg  0.7500  0.7481  0.7314  6 O 2.01-2.22
O  0.4912  0.4959  0.8032  1 Te 1.97, 1 Mg 2.11
O  0.5088  0.5041  0.1968  1 Te 1.97, 1 Mg 2.11
O  0.2500  0.1876  0.9935  1 Te 2.02, 1 Mg 2.22
Na  0.2500  0.7654  0.4992  5 O 2.42-2.71
La  0.2500  0.7546  0.0018  5 O 2.44-2.54
O  0.7500  0.8124  0.0065  1 Te 2.02, 1 Mg 2.22
O  0.9961  0.9832  0.2676  1 Te 1.93, 1 Mg 2.08

total magnetization = 0.000 μB/atom
symmetry = P2_1/m

Result of the stability comparison: run B is the most stable of them.

Run A
An optimized crystal structure of LaMg6Nb, computed with PBE-GGA.

a = 5.0649 Å, b = 6.4905 Å, c = 11.5464 Å
α = 90.00°, β = 90.00°, γ = 90.00°
Last column: nearest neighbours and their distance in Å.
Positions (direct):
Nb  0.5000  0.5000  0.1872  2 La 2.89
Mg  0.0000  0.2639  0.0742  6 Mg 3.05-3.25, 1 La 3.10, 2 Nb 3.23
Mg  0.5000  0.2392  0.4272  8 Mg 3.05-3.38, 2 Nb 3.25-3.38, 2 La 3.35
Mg  0.5000  0.2608  0.9272  8 Mg 3.05-3.38, 2 Nb 3.25-3.38, 2 La 3.35
La  0.0000  0.5000  0.3074  2 Nb 2.89, 2 Mg 3.10
Nb  0.5000  0.0000  0.6872  2 La 2.89
Mg  0.5000  0.7392  0.9272  8 Mg 3.05-3.38, 2 Nb 3.25-3.38, 2 La 3.35
La  0.0000  0.0000  0.8074  2 Nb 2.89, 2 Mg 3.10
Mg  0.0000  0.7361  0.0742  6 Mg 3.05-3.25, 1 La 3.10, 2 Nb 3.23
Mg  0.5000  0.5000  0.6693  10 Mg 3.16-3.36, 2 Nb 3.25
Mg  0.5000  0.0000  0.1693  10 Mg 3.16-3.36, 2 Nb 3.25
Mg  0.0000  0.0000  0.3333  10 Mg 3.16-3.45, 2 La 3.26
Mg  0.0000  0.5000  0.8333  10 Mg 3.16-3.45, 2 La 3.26
Mg  0.5000  0.7608  0.4272  8 Mg 3.05-3.38, 2 Nb 3.25-3.38, 2 La 3.35
Mg  0.0000  0.7639  0.5742  6 Mg 3.05-3.25, 1 La 3.10, 2 Nb 3.23
Mg  0.0000  0.2361  0.5742  6 Mg 3.05-3.25, 1 La 3.10, 2 Nb 3.23

total magnetization = 0.000 μB/atom

Run B
An optimized crystal structure of LaMg6Nb, computed with PBE-GGA.

a = 5.1828 Å, b = 6.1417 Å, c = 11.8946 Å
α = 90.00°, β = 90.00°, γ = 90.00°
Last column: nearest neighbours and their distance in Å.
Positions (direct):
Mg  0.5000  0.7503  0.9208  8 Mg 3.07-3.26, 2 Nb 3.28-3.41, 2 La 3.32-3.37
Mg  0.0000  0.7648  0.5820  5 Mg 2.89-3.23, 2 Nb 3.12
La  0.5000  0.5000  0.6734  2 Nb 3.07, 10 Mg 3.25-3.37
Mg  0.0000  0.0000  0.8153  8 Mg 3.09-3.26, 2 Nb 3.15
Mg  0.5000  0.2503  0.4208  8 Mg 3.07-3.26, 2 Nb 3.28-3.41, 2 La 3.32-3.37
Mg  0.5000  0.2497  0.9208  8 Mg 3.07-3.26, 2 Nb 3.28-3.41, 2 La 3.32-3.37
Nb  0.5000  0.5000  0.1644  2 La 3.07, 10 Mg 3.12-3.41
Nb  0.5000  0.0000  0.6644  2 La 3.07, 10 Mg 3.12-3.41
La  0.5000  0.0000  0.1734  2 Nb 3.07, 10 Mg 3.25-3.37
Mg  0.0000  0.0000  0.3413  8 Mg 3.09-3.21, 2 La 3.27
Mg  0.0000  0.5000  0.3153  8 Mg 3.09-3.26, 2 Nb 3.15
Mg  0.0000  0.2352  0.5820  5 Mg 2.89-3.23, 2 Nb 3.12
Mg  0.0000  0.5000  0.8413  8 Mg 3.09-3.21, 2 La 3.27
Mg  0.0000  0.2648  0.0820  5 Mg 2.89-3.23, 2 Nb 3.12
Mg  0.0000  0.7352  0.0820  5 Mg 2.89-3.23, 2 Nb 3.12
Mg  0.5000  0.7497  0.4208  8 Mg 3.07-3.26, 2 Nb 3.28-3.41, 2 La 3.32-3.37

total magnetization = 0.077 μB/atom

Result of the stability comparison: run A is the most stable of them.

Run A
An optimized crystal structure of RbLaMg14O16, computed with PBE-GGA.

a = 8.7817 Å, b = 9.0540 Å, c = 4.5534 Å
α = 90.00°, β = 90.00°, γ = 90.00°
Last column: nearest neighbours and their distance in Å.
Positions (direct):
Mg  0.5000  0.2538  0.5000  6 O 2.19-2.30
O  0.7489  0.2496  0.5000  6 Mg 2.19-2.28
O  0.5000  0.5000  0.5000  6 Mg 2.13-2.28
O  0.5000  0.7534  0.0000  6 Mg 2.09-2.29
Mg  0.0000  0.7327  0.5000  5 O 2.11-2.29
La  0.0000  0.0000  0.0000  6 O 2.18-2.39
O  0.2511  0.7504  0.5000  6 Mg 2.19-2.28
O  0.0000  0.5000  0.5000  4 Mg 2.11-2.26, 2 Rb 2.28
O  0.0000  0.7588  0.0000  1 La 2.18, 4 Mg 2.29-2.31, 1 Rb 2.34
Mg  0.7333  0.0000  0.5000  5 O 2.05-2.28
Mg  0.2572  0.5000  0.5000  6 O 2.13-2.29
Mg  0.2627  0.2599  0.0000  5 O 2.09-2.31
Mg  0.7373  0.7401  0.0000  5 O 2.09-2.31
O  0.5000  0.2466  0.0000  6 Mg 2.09-2.29
O  0.7273  0.0000  0.0000  1 Mg 2.00
Mg  0.5000  0.7462  0.5000  6 O 2.19-2.30
Mg  0.5000  0.5000  0.0000  2 O 1.91
O  0.2727  0.0000  0.0000  1 Mg 2.00
O  0.5000  0.0000  0.5000  4 Mg 2.05-2.28
O  0.0000  0.0000  0.5000  2 La 2.28, 4 Mg 2.34-2.42
Mg  0.5000  0.0000  0.0000  4 O 2.00-2.23
Mg  0.2667  0.0000  0.5000  5 O 2.05-2.28
Mg  0.0000  0.2673  0.5000  5 O 2.11-2.29
O  0.7178  0.5000  0.0000  1 Mg 1.91
Mg  0.7428  0.5000  0.5000  6 O 2.13-2.29
O  0.7489  0.7504  0.5000  6 Mg 2.19-2.28
O  0.0000  0.2412  0.0000  1 La 2.18, 4 Mg 2.29-2.31, 1 Rb 2.34
O  0.2822  0.5000  0.0000  1 Mg 1.91
Rb  0.0000  0.5000  0.0000  6 O 2.28-2.48
Mg  0.2627  0.7401  0.0000  5 O 2.09-2.31
Mg  0.7373  0.2599  0.0000  5 O 2.09-2.31
O  0.2511  0.2496  0.5000  6 Mg 2.19-2.28

total magnetization = 0.000 μB/atom
symmetry = Pmmm

Run B
An optimized crystal structure of RbLaMg14O16, computed with PBE-GGA.

a = 8.8315 Å, b = 8.8315 Å, c = 4.5723 Å
α = 90.00°, β = 90.00°, γ = 90.00°
Last column: nearest neighbours and their distance in Å.
Positions (direct):
O  0.0000  0.0000  0.5000  2 La 2.29, 4 Mg 2.37
Mg  0.0000  0.5000  0.0000  4 O 1.95-2.08
O  0.5000  0.2214  0.0000  3 Mg 1.95-2.15
Mg  0.0000  0.2686  0.5000  5 O 2.04-2.29
O  0.0000  0.5000  0.5000  6 Mg 2.04-2.29
Rb  0.5000  0.5000  0.0000  6 O 2.29-2.46
O  0.7516  0.7516  0.5000  6 Mg 2.20-2.29
O  0.5000  0.7786  0.0000  3 Mg 1.95-2.15
Mg  0.5000  0.2491  0.5000  6 O 2.20-2.30
O  0.0000  0.2643  0.0000  5 Mg 2.08-2.29
O  0.0000  0.7357  0.0000  5 Mg 2.08-2.29
O  0.2643  0.0000  0.0000  5 Mg 2.08-2.29
Mg  0.7411  0.2589  0.0000  6 O 2.15-2.29
Mg  0.2686  0.0000  0.5000  5 O 2.04-2.29
O  0.2484  0.2484  0.5000  6 Mg 2.20-2.29
Mg  0.0000  0.7314  0.5000  5 O 2.04-2.29
O  0.7357  0.0000  0.0000  5 Mg 2.08-2.29
Mg  0.2589  0.7411  0.0000  6 O 2.15-2.29
O  0.7516  0.2484  0.5000  6 Mg 2.20-2.29
Mg  0.5000  0.0000  0.0000  4 O 1.95-2.08
O  0.5000  0.0000  0.5000  6 Mg 2.04-2.29
La  0.0000  0.0000  0.0000  6 O 2.29-2.33
Mg  0.5000  0.7509  0.5000  6 O 2.20-2.30
Mg  0.7314  0.0000  0.5000  5 O 2.04-2.29
Mg  0.7411  0.7411  0.0000  6 O 2.15-2.29
Mg  0.2589  0.2589  0.0000  6 O 2.15-2.29
O  0.2214  0.5000  0.0000  3 Mg 1.95-2.15
Mg  0.2491  0.5000  0.5000  6 O 2.20-2.30
O  0.2484  0.7516  0.5000  6 Mg 2.20-2.29
O  0.7786  0.5000  0.0000  3 Mg 1.95-2.15
O  0.5000  0.5000  0.5000  4 Mg 2.22, 2 Rb 2.29
Mg  0.7509  0.5000  0.5000  6 O 2.20-2.30

symmetry = P4/mmm

Result of the stability comparison: run B is the most stable of them.

Run A
An optimized crystal structure of Sr2La2MgRuO8, computed with PBE-GGA.

a = 3.9302 Å, b = 15.8140 Å, c = 6.9302 Å
α = 106.66°, β = 106.45°, γ = 89.80°
Last column: nearest neighbours and their distance in Å.
Positions (direct):
Sr  0.6489  0.1619  0.2943  1 O 2.41
O  0.1623  0.5391  0.3601  1 Mg 2.30, 1 La 2.34
Sr  0.3511  0.0881  0.7057  1 O 2.41
La  0.3480  0.5870  0.7281  2 O 2.34-2.57
O  0.4983  0.9984  0.9946  2 Ru 1.96-1.97
Sr  0.6493  0.9086  0.2865  3 O 2.43-2.71
La  0.6478  0.4179  0.2824  2 O 2.32-2.53
Ru  0.0001  0.2496  0.0019  6 O 1.96-2.09
O  0.8377  0.7109  0.6399  1 Mg 2.30, 1 La 2.34
La  0.6520  0.6630  0.2719  2 O 2.34-2.57
O  0.0000  0.6250  0.0000  2 Mg 1.98
O  0.8346  0.4645  0.6478  1 Mg 2.22, 1 La 2.32
Ru  0.9999  0.0004  0.9981  6 O 1.96-2.09
O  0.0059  0.3749  0.0103  1 Ru 1.97, 1 Mg 2.00
O  0.1599  0.0390  0.3257  1 Ru 2.08
Sr  0.3507  0.3414  0.7135  3 O 2.43-2.71
Mg  0.0019  0.7502  0.0024  4 O 1.97-2.00
O  0.0000  0.1250  0.0000  2 Ru 1.97
O  0.1570  0.2949  0.3306  1 Ru 2.09
La  0.3522  0.8321  0.7176  2 O 2.32-2.53
O  0.4951  0.7485  0.9885  2 Mg 1.97
Mg  0.9981  0.4998  0.9976  4 O 1.97-2.00
O  0.5017  0.2516  0.0054  2 Ru 1.96-1.97
O  0.8430  0.9551  0.6694  1 Ru 2.09
O  0.9941  0.8751  0.9897  1 Ru 1.97, 1 Mg 2.00
O  0.1654  0.7855  0.3522  1 Mg 2.22, 1 La 2.32
O  0.5049  0.5015  0.0115  2 Mg 1.97
O  0.8401  0.2110  0.6743  1 Ru 2.08

total magnetization = 0.143 μB/atom
symmetry = P-1

Run B
An optimized crystal structure of Sr2La2MgRuO8, computed with PBE-GGA.

a = 3.8991 Å, b = 3.8991 Å, c = 12.7520 Å
α = 90.00°, β = 90.00°, γ = 90.00°
Last column: nearest neighbours and their distance in Å.
Positions (direct):
O  0.5000  0.0000  0.0000  2 Mg 1.95
Ru  0.5000  0.5000  0.5000  6 O 1.95-2.13
O  0.5000  0.5000  0.6669  1 Ru 2.13
O  0.0000  0.0000  0.8292  1 Mg 2.18, 1 Sr 2.34
Sr  0.0000  0.0000  0.6456  1 O 2.34
O  0.5000  0.5000  0.3331  1 Ru 2.13
O  0.0000  0.5000  0.0000  2 Mg 1.95
O  0.5000  0.0000  0.5000  2 Ru 1.95
La  0.5000  0.5000  0.1372  9 O 2.50-2.79
La  0.5000  0.5000  0.8628  9 O 2.50-2.79
O  0.0000  0.5000  0.5000  2 Ru 1.95
Mg  0.0000  0.0000  0.0000  6 O 1.95-2.18
Sr  0.0000  0.0000  0.3544  1 O 2.34
O  0.0000  0.0000  0.1708  1 Mg 2.18, 1 Sr 2.34

total magnetization = 0.001 μB/atom
symmetry = P4/mmm

Result of the stability comparison: run A is the most stable of them.